Na6Nb3Ga5Si6S6O48 after structural relaxation. Source: the Materials Project, functional PBE.

Cell lengths 8.7637, 15.2618, 22.4975 Å; angles 90.07, 90.21, 90.28 degrees
Space group P1 (No. 1)
Asymmetric unit:
Na  0.0000  0.0000  0.0000
Na  0.0003  0.3397  0.3342
Na  0.0029  0.6681  0.6656
Na  0.0045  0.3378  0.8296
Na  0.0080  0.6708  0.1679
Na  0.0091  0.9942  0.4979
Na  0.1377  0.1695  0.4176
Na  0.1870  0.4889  0.4195
Na  0.4971  0.8364  0.8331
Na  0.4980  0.1636  0.1662
Na  0.4977  0.8405  0.3363
Na  0.4989  0.1725  0.6712
Na  0.4991  0.5047  0.9951
Na  0.5051  0.5002  0.4991
Na  0.6348  0.6710  0.4217
Na  0.6861  0.9834  0.4157
Na  0.8055  0.4863  0.9167
Na  0.8561  0.1702  0.9172
Nb  0.0052  0.0091  0.1501
Nb  0.0052  0.0094  0.6505
Nb  0.0050  0.6669  0.3210
Nb  0.4861  0.1632  0.3138
Nb  0.4874  0.5100  0.1477
Nb  0.4953  0.8375  0.9810
Nb  0.4959  0.5045  0.6542
Nb  0.5136  0.1706  0.8117
Nb  0.9928  0.6676  0.8122
Ga  0.0008  0.3395  0.6975
Ga  0.0011  0.3441  0.4823
Ga  0.0013  0.9990  0.3536
Ga  0.0024  0.6722  0.0214
Ga  0.0106  0.3377  0.1943
Ga  0.4826  0.8357  0.6925
Ga  0.4890  0.4993  0.3616
Ga  0.4906  0.1738  0.5162
Ga  0.4919  0.8482  0.1845
Ga  0.4981  0.8378  0.4773
Ga  0.5091  0.1619  0.0159
Ga  0.5088  0.5028  0.8532
Ga  0.9950  0.3358  0.9840
Ga  0.9964  0.6712  0.5103
Ga  0.9987  0.0090  0.8523
Si  0.1321  0.1517  0.2569
Si  0.2048  0.5038  0.2564
Si  0.2913  0.9998  0.7585
Si  0.2935  0.6721  0.4245
Si  0.3440  0.6998  0.0880
Si  0.3468  0.0227  0.4240
Si  0.3514  0.3615  0.7575
Si  0.3567  0.3156  0.4232
Si  0.3605  0.9900  0.0856
Si  0.3644  0.6509  0.7572
Si  0.6377  0.3171  0.9256
Si  0.6544  0.0241  0.9188
Si  0.7081  0.9969  0.2547
Si  0.7104  0.6691  0.9235
Si  0.7867  0.4992  0.7545
Si  0.8468  0.5209  0.4227
Si  0.8608  0.8199  0.4220
Si  0.8630  0.1516  0.7547
S  0.1388  0.8170  0.9198
S  0.1403  0.4835  0.5864
S  0.1473  0.1959  0.5858
S  0.1470  0.8585  0.2533
S  0.1485  0.5255  0.9225
S  0.2102  0.1720  0.9218
S  0.2103  0.8345  0.5856
S  0.2843  0.3351  0.0858
S  0.6398  0.9826  0.5861
S  0.6419  0.6512  0.2537
S  0.6471  0.3612  0.2530
S  0.6469  0.6956  0.5865
S  0.7133  0.3343  0.5852
S  0.7875  0.1734  0.4224
S  0.7900  0.8351  0.0874
S  0.8519  0.8610  0.7528
S  0.8547  0.1970  0.0876
S  0.8595  0.4804  0.0875
O  0.0586  0.2460  0.2455
O  0.0677  0.4378  0.9275
O  0.0680  0.7719  0.2565
O  0.0690  0.1060  0.3159
O  0.0720  0.5661  0.8682
O  0.0724  0.5717  0.5821
O  0.0730  0.1032  0.5908
O  0.0727  0.9046  0.9146
O  0.0767  0.4392  0.6388
O  0.0775  0.7767  0.9744
O  0.0778  0.2308  0.5304
O  0.0785  0.9011  0.1990
O  0.0968  0.4200  0.2451
O  0.1033  0.5946  0.2569
O  0.1073  0.0936  0.9170
O  0.1077  0.2517  0.9282
O  0.1090  0.9155  0.5927
O  0.1115  0.7563  0.5817
O  0.1136  0.2472  0.6389
O  0.1149  0.7619  0.8661
O  0.1155  0.0877  0.1967
O  0.1195  0.4303  0.5306
O  0.1190  0.5796  0.9759
O  0.1225  0.9117  0.3071
O  0.1629  0.6804  0.0775
O  0.1650  0.0205  0.4130
O  0.1680  0.3196  0.4286
O  0.1690  0.9921  0.0917
O  0.1739  0.3492  0.7438
O  0.1757  0.6629  0.7635
O  0.1776  0.0147  0.6971
O  0.1785  0.9815  0.8134
O  0.1841  0.6887  0.3638
O  0.1862  0.6451  0.4799
O  0.1902  0.3253  0.1399
O  0.1900  0.3539  0.0318
O  0.3002  0.1868  0.8678
O  0.3009  0.1579  0.9763
O  0.3035  0.8243  0.6404
O  0.3041  0.8529  0.5327
O  0.3104  0.8236  0.9238
O  0.3111  0.5163  0.9160
O  0.3133  0.4892  0.3130
O  0.3131  0.4917  0.5904
O  0.3130  0.8476  0.2477
O  0.3145  0.1820  0.5825
O  0.3199  0.5172  0.1967
O  0.3224  0.1600  0.2578
O  0.3745  0.0883  0.4798
O  0.3793  0.4223  0.8140
O  0.3805  0.5877  0.6956
O  0.3833  0.2594  0.0808
O  0.3849  0.0921  0.7605
O  0.3860  0.2506  0.3645
O  0.3858  0.4173  0.0925
O  0.3856  0.7532  0.1475
O  0.3891  0.9224  0.0288
O  0.3984  0.5866  0.4134
O  0.4015  0.7574  0.4272
O  0.4024  0.9186  0.7449
O  0.4224  0.4135  0.4163
O  0.4285  0.0883  0.0766
O  0.4296  0.5989  0.0948
O  0.4303  0.7378  0.0287
O  0.4312  0.9471  0.1445
O  0.4323  0.2648  0.7615
O  0.4336  0.6054  0.8144
O  0.4352  0.0692  0.3642
O  0.4351  0.4055  0.6960
O  0.4361  0.2756  0.4817
O  0.4394  0.7456  0.7448
O  0.4386  0.9317  0.4278
O  0.5655  0.2688  0.9831
O  0.5682  0.0700  0.8617
O  0.5711  0.4144  0.9176
O  0.5713  0.9284  0.9271
O  0.5729  0.6056  0.5913
O  0.5727  0.7370  0.2453
O  0.5755  0.2726  0.2583
O  0.5762  0.9408  0.6399
O  0.5771  0.0729  0.5809
O  0.5768  0.4025  0.1987
O  0.5786  0.7340  0.5316
O  0.5799  0.6094  0.3072
O  0.5998  0.9111  0.2458
O  0.6063  0.5830  0.9161
O  0.6093  0.7588  0.9278
O  0.6109  0.0911  0.2601
O  0.6138  0.4150  0.5893
O  0.6136  0.5922  0.1992
O  0.6146  0.2540  0.5802
O  0.6150  0.7499  0.6400
O  0.6174  0.9299  0.5312
O  0.6192  0.2512  0.8663
O  0.6236  0.4148  0.3064
O  0.6398  0.0861  0.9770
O  0.6678  0.5192  0.4082
O  0.6753  0.1552  0.7552
O  0.6747  0.8254  0.4272
O  0.6822  0.5231  0.6950
O  0.6881  0.4884  0.0941
O  0.6876  0.8491  0.7436
O  0.6888  0.1864  0.0836
O  0.6923  0.1557  0.4759
O  0.6952  0.1875  0.3679
O  0.6959  0.8514  0.0332
O  0.6986  0.8210  0.1412
O  0.7009  0.4871  0.8161
O  0.8074  0.3235  0.6392
O  0.8081  0.3484  0.5308
O  0.8088  0.9871  0.3147
O  0.8123  0.6573  0.2555
O  0.8135  0.3510  0.2444
O  0.8136  0.9903  0.5923
O  0.8150  0.6846  0.5831
O  0.8215  0.0141  0.1959
O  0.8264  0.6519  0.9791
O  0.8256  0.6850  0.8648
O  0.8317  0.3251  0.9296
O  0.8399  0.0143  0.9109
O  0.8664  0.5858  0.4793
O  0.8767  0.9118  0.8072
O  0.8813  0.4287  0.0316
O  0.8830  0.7532  0.3629
O  0.8852  0.0943  0.4175
O  0.8887  0.0848  0.6958
O  0.8887  0.2514  0.4288
O  0.8890  0.9156  0.0922
O  0.8900  0.2510  0.1403
O  0.8896  0.7575  0.0804
O  0.8948  0.5911  0.7590
O  0.8992  0.4199  0.7438
O  0.9250  0.9009  0.6987
O  0.9264  0.2321  0.0322
O  0.9257  0.4370  0.1402
O  0.9259  0.5692  0.0830
O  0.9271  0.1066  0.0925
O  0.9272  0.9184  0.4139
O  0.9293  0.7729  0.7574
O  0.9302  0.1100  0.8145
O  0.9323  0.2456  0.7429
O  0.9357  0.4279  0.4266
O  0.9367  0.7770  0.4804
O  0.9394  0.5678  0.3645

Values from the calculation:
The calculation puts the electronic total energy at -495.80 eV per formula unit. The total moment is 0.00 μB/atom. The MP2020-corrected energy is -1586.32 eV/cell. Its energy of formation from the pure elements is -2.439 eV per atom.